Model one:
{"formula": "Li2SnP4O12", "functional": "PBE", "state": "relaxed", "sg": "C2/c (15)", "total_magnetization_mub_per_cell": 0.00, "vol_a3_per_cell": 540.7, "lattice_angstrom": [[4.624, -7.913, 0.000], [4.624, 7.913, 0.000], [-0.232, 0.000, 7.388]], "species": ["Li", "Li", "Li", "Li", "Sn", "Sn", "P", "P", "P", "P", "P", "P", "P", "P", "O", "O", "O", "O", "O", "O", "O", "O", "O", "O", "O", "O", "O", "O", "O", "O", "O", "O", "O", "O", "O", "O", "O", "O"], "frac_coords": [[0.014, 0.701, 0.818], [0.299, 0.986, 0.682], [0.701, 0.014, 0.318], [0.986, 0.299, 0.182], [0.369, 0.631, 0.250], [0.631, 0.369, 0.750], [0.045, 0.718, 0.384], [0.273, 0.426, 0.822], [0.282, 0.955, 0.116], [0.426, 0.273, 0.322], [0.574, 0.727, 0.678], [0.718, 0.045, 0.884], [0.727, 0.574, 0.178], [0.955, 0.282, 0.616], [0.080, 0.580, 0.322], [0.091, 0.789, 0.574], [0.126, 0.874, 0.250], [0.149, 0.339, 0.650], [0.179, 0.434, 0.985], [0.211, 0.909, 0.926], [0.339, 0.149, 0.150], [0.342, 0.378, 0.341], [0.378, 0.342, 0.841], [0.384, 0.616, 0.750], [0.420, 0.920, 0.178], [0.434, 0.179, 0.485], [0.566, 0.821, 0.515], [0.580, 0.080, 0.822], [0.616, 0.384, 0.250], [0.622, 0.658, 0.159], [0.658, 0.622, 0.659], [0.661, 0.851, 0.850], [0.789, 0.091, 0.074], [0.821, 0.566, 0.015], [0.851, 0.661, 0.350], [0.874, 0.126, 0.750], [0.909, 0.211, 0.426], [0.920, 0.420, 0.678]]}

Model two:
{"formula": "Li2SnP4O12", "functional": "PBE", "state": "relaxed", "sg": "P4/nbm (125)", "total_magnetization_mub_per_cell": 0.00, "vol_a3_per_cell": 458.8, "lattice_angstrom": [[9.852, 0.000, 0.000], [0.000, 9.852, 0.000], [0.000, 0.000, 4.727]], "species": ["Li", "Li", "Li", "Li", "Sn", "Sn", "P", "P", "P", "P", "P", "P", "P", "P", "O", "O", "O", "O", "O", "O", "O", "O", "O", "O", "O", "O", "O", "O", "O", "O", "O", "O", "O", "O", "O", "O", "O", "O"], "frac_coords": [[0.000, 0.000, 0.000], [0.000, 0.500, 0.000], [0.500, 0.000, 0.000], [0.500, 0.500, 0.000], [0.250, 0.250, 0.000], [0.750, 0.750, 0.000], [0.039, 0.750, 0.500], [0.250, 0.539, 0.500], [0.250, 0.961, 0.500], [0.461, 0.750, 0.500], [0.539, 0.250, 0.500], [0.750, 0.039, 0.500], [0.750, 0.461, 0.500], [0.961, 0.250, 0.500], [0.034, 0.178, 0.266], [0.034, 0.322, 0.734], [0.143, 0.643, 0.653], [0.143, 0.857, 0.347], [0.178, 0.034, 0.734], [0.178, 0.466, 0.266], [0.322, 0.034, 0.266], [0.322, 0.466, 0.734], [0.357, 0.643, 0.347], [0.357, 0.857, 0.653], [0.466, 0.178, 0.734], [0.466, 0.322, 0.266], [0.534, 0.678, 0.734], [0.534, 0.822, 0.266], [0.643, 0.143, 0.347], [0.643, 0.357, 0.653], [0.678, 0.534, 0.266], [0.678, 0.966, 0.734], [0.822, 0.534, 0.734], [0.822, 0.966, 0.266], [0.857, 0.143, 0.653], [0.857, 0.357, 0.347], [0.966, 0.678, 0.266], [0.966, 0.822, 0.734]]}

Quick one: least stable of them? model one

Model one:
{"formula": "Li2SnP4O12", "functional": "PBE", "state": "relaxed", "sg": "P2_1/c (14)", "total_magnetization_mub_per_cell": 0.00, "vol_a3_per_cell": 1156.5, "lattice_angstrom": [[7.748, 0.000, 0.000], [0.000, 14.315, 0.000], [-6.118, 0.000, 10.428]], "species": ["Li", "Li", "Li", "Li", "Li", "Li", "Li", "Li", "Sn", "Sn", "Sn", "Sn", "P", "P", "P", "P", "P", "P", "P", "P", "P", "P", "P", "P", "P", "P", "P", "P", "O", "O", "O", "O", "O", "O", "O", "O", "O", "O", "O", "O", "O", "O", "O", "O", "O", "O", "O", "O", "O", "O", "O", "O", "O", "O", "O", "O", "O", "O", "O", "O", "O", "O", "O", "O", "O", "O", "O", "O", "O", "O", "O", "O", "O", "O", "O", "O"], "frac_coords": [[0.065, 0.139, 0.428], [0.065, 0.361, 0.928], [0.400, 0.704, 0.804], [0.400, 0.796, 0.304], [0.600, 0.204, 0.696], [0.600, 0.296, 0.196], [0.935, 0.639, 0.072], [0.935, 0.861, 0.572], [0.258, 0.642, 0.482], [0.258, 0.858, 0.982], [0.742, 0.142, 0.018], [0.742, 0.358, 0.518], [0.055, 0.089, 0.888], [0.055, 0.411, 0.388], [0.130, 0.195, 0.701], [0.130, 0.305, 0.201], [0.428, 0.166, 0.366], [0.428, 0.334, 0.866], [0.430, 0.085, 0.145], [0.430, 0.415, 0.645], [0.570, 0.585, 0.355], [0.570, 0.915, 0.855], [0.572, 0.666, 0.134], [0.572, 0.834, 0.634], [0.870, 0.695, 0.799], [0.870, 0.805, 0.299], [0.945, 0.589, 0.612], [0.945, 0.911, 0.112], [0.024, 0.733, 0.317], [0.024, 0.767, 0.817], [0.045, 0.516, 0.377], [0.045, 0.984, 0.877], [0.112, 0.139, 0.592], [0.112, 0.361, 0.092], [0.137, 0.643, 0.653], [0.137, 0.857, 0.153], [0.166, 0.126, 0.815], [0.166, 0.374, 0.315], [0.209, 0.121, 0.034], [0.209, 0.379, 0.534], [0.295, 0.149, 0.420], [0.295, 0.351, 0.920], [0.350, 0.245, 0.766], [0.350, 0.255, 0.266], [0.354, 0.683, 0.042], [0.354, 0.817, 0.542], [0.399, 0.082, 0.267], [0.399, 0.418, 0.767], [0.422, 0.662, 0.338], [0.422, 0.838, 0.838], [0.473, 0.512, 0.620], [0.473, 0.988, 0.120], [0.527, 0.012, 0.880], [0.527, 0.488, 0.380], [0.578, 0.162, 0.162], [0.578, 0.338, 0.662], [0.601, 0.582, 0.233], [0.601, 0.918, 0.733], [0.646, 0.183, 0.458], [0.646, 0.317, 0.958], [0.650, 0.745, 0.734], [0.650, 0.755, 0.234], [0.705, 0.649, 0.080], [0.705, 0.851, 0.580], [0.791, 0.621, 0.466], [0.791, 0.879, 0.966], [0.834, 0.626, 0.685], [0.834, 0.874, 0.185], [0.863, 0.143, 0.847], [0.863, 0.357, 0.347], [0.888, 0.639, 0.908], [0.888, 0.861, 0.408], [0.955, 0.016, 0.123], [0.955, 0.484, 0.623], [0.976, 0.233, 0.183], [0.976, 0.267, 0.683]]}

Model two:
{"formula": "Li2SnP4O12", "functional": "PBE", "state": "relaxed", "sg": "P2_1/c (14)", "total_magnetization_mub_per_cell": 0.00, "vol_a3_per_cell": 984.7, "lattice_angstrom": [[9.607, 0.000, 0.000], [0.000, 10.456, 0.000], [-0.147, 0.000, 9.803]], "species": ["Li", "Li", "Li", "Li", "Li", "Li", "Li", "Li", "Sn", "Sn", "Sn", "Sn", "P", "P", "P", "P", "P", "P", "P", "P", "P", "P", "P", "P", "P", "P", "P", "P", "O", "O", "O", "O", "O", "O", "O", "O", "O", "O", "O", "O", "O", "O", "O", "O", "O", "O", "O", "O", "O", "O", "O", "O", "O", "O", "O", "O", "O", "O", "O", "O", "O", "O", "O", "O", "O", "O", "O", "O", "O", "O", "O", "O", "O", "O", "O", "O"], "frac_coords": [[0.113, 0.183, 0.004], [0.113, 0.317, 0.504], [0.386, 0.175, 0.008], [0.386, 0.325, 0.508], [0.614, 0.675, 0.492], [0.614, 0.825, 0.992], [0.887, 0.683, 0.496], [0.887, 0.817, 0.996], [0.247, 0.702, 0.474], [0.247, 0.798, 0.974], [0.753, 0.202, 0.026], [0.753, 0.298, 0.526], [0.003, 0.602, 0.198], [0.003, 0.898, 0.698], [0.232, 0.092, 0.697], [0.232, 0.408, 0.197], [0.267, 0.522, 0.754], [0.267, 0.978, 0.254], [0.463, 0.610, 0.199], [0.463, 0.890, 0.699], [0.537, 0.110, 0.301], [0.537, 0.390, 0.801], [0.733, 0.022, 0.746], [0.733, 0.478, 0.246], [0.768, 0.592, 0.803], [0.768, 0.908, 0.303], [0.997, 0.102, 0.302], [0.997, 0.398, 0.802], [0.026, 0.626, 0.349], [0.026, 0.874, 0.849], [0.034, 0.706, 0.097], [0.034, 0.794, 0.597], [0.082, 0.029, 0.657], [0.082, 0.471, 0.157], [0.157, 0.065, 0.334], [0.157, 0.435, 0.834], [0.240, 0.660, 0.787], [0.240, 0.840, 0.287], [0.244, 0.114, 0.847], [0.244, 0.386, 0.347], [0.251, 0.202, 0.600], [0.251, 0.298, 0.100], [0.271, 0.016, 0.106], [0.271, 0.484, 0.606], [0.332, 0.525, 0.148], [0.332, 0.975, 0.648], [0.408, 0.017, 0.334], [0.408, 0.483, 0.834], [0.456, 0.633, 0.351], [0.456, 0.867, 0.851], [0.469, 0.722, 0.103], [0.469, 0.778, 0.603], [0.531, 0.222, 0.397], [0.531, 0.278, 0.897], [0.544, 0.133, 0.149], [0.544, 0.367, 0.649], [0.592, 0.517, 0.166], [0.592, 0.983, 0.666], [0.668, 0.025, 0.352], [0.668, 0.475, 0.852], [0.729, 0.516, 0.394], [0.729, 0.984, 0.894], [0.749, 0.702, 0.900], [0.749, 0.798, 0.400], [0.756, 0.614, 0.653], [0.756, 0.886, 0.153], [0.760, 0.160, 0.713], [0.760, 0.340, 0.213], [0.843, 0.565, 0.166], [0.843, 0.935, 0.666], [0.918, 0.529, 0.843], [0.918, 0.971, 0.343], [0.966, 0.206, 0.403], [0.966, 0.294, 0.903], [0.974, 0.126, 0.151], [0.974, 0.374, 0.651]]}

Quick one: least stable of them? model one